## Li2Mn3P3O12 (PBE+U)

Data for a geometry-optimized Li2Mn3P3O12 structure.

Summary:
ΔE to the lowest computed polymorph	0.025	eV per atom
crystal system	monoclinic
ΔE_f	-4848	kJ/mol of formula units
calculated total energy	-287.837	eV per cell

Cell: 8.607 8.607 8.534 Å, 63.77 63.77 62.56°
Fractional coordinates of all 40 atoms:
Li  0.356  0.644  0.500
Li  0.659  0.341  0.000
Li  0.246  0.152  0.601
Li  0.848  0.754  0.399
Mn  0.498  0.010  0.242
Mn  0.150  0.644  0.896
Mn  0.653  0.156  0.406
Mn  0.990  0.502  0.758
Mn  0.356  0.850  0.104
Mn  0.844  0.347  0.594
P  0.749  0.560  0.183
P  0.440  0.251  0.817
P  0.060  0.940  0.500
P  0.963  0.037  0.000
P  0.544  0.749  0.694
P  0.251  0.456  0.306
O  0.598  0.307  0.789
O  0.028  0.094  0.566
O  0.804  0.537  0.343
O  0.582  0.748  0.177
O  0.693  0.402  0.211
O  0.901  0.583  0.997
O  0.417  0.099  0.003
O  0.252  0.418  0.823
O  0.113  0.993  0.077
O  0.083  0.745  0.647
O  0.768  0.057  0.147
O  0.490  0.813  0.856
O  0.463  0.196  0.657
O  0.255  0.917  0.353
O  0.943  0.232  0.853
O  0.906  0.972  0.434
O  0.739  0.597  0.683
O  0.571  0.903  0.504
O  0.097  0.429  0.496
O  0.317  0.600  0.293
O  0.403  0.261  0.317
O  0.187  0.510  0.144
O  0.007  0.887  0.923
O  0.400  0.683  0.707

***

## Na5FeHO4 (PBE+U)

Data for a geometry-optimized Na5FeHO4 structure.

Summary:
crystal system	orthorhombic
ΔE_f	-1632	kJ/mol of formula units
calculated total energy	-401.441	eV per cell

Cell: 9.986 10.300 12.048 Å, 90.00 90.00 90.00°
Fractional coordinates of all 88 atoms:
Na  0.983  0.591  0.209
Na  0.983  0.909  0.209
Na  0.072  0.066  0.414
Na  0.072  0.434  0.414
Na  0.082  0.750  0.447
Na  0.116  0.250  0.982
Na  0.130  0.566  0.991
Na  0.130  0.934  0.991
Na  0.218  0.581  0.677
Na  0.218  0.919  0.677
Na  0.282  0.081  0.177
Na  0.282  0.419  0.177
Na  0.370  0.066  0.491
Na  0.370  0.434  0.491
Na  0.384  0.750  0.482
Na  0.418  0.250  0.947
Na  0.428  0.566  0.914
Na  0.428  0.934  0.914
Na  0.517  0.091  0.709
Na  0.517  0.409  0.709
Na  0.483  0.591  0.291
Na  0.483  0.909  0.291
Na  0.572  0.066  0.086
Na  0.572  0.434  0.086
Na  0.582  0.750  0.053
Na  0.616  0.250  0.518
Na  0.630  0.566  0.509
Na  0.630  0.934  0.509
Na  0.718  0.581  0.823
Na  0.718  0.919  0.823
Na  0.782  0.081  0.323
Na  0.782  0.419  0.323
Na  0.870  0.066  0.009
Na  0.870  0.434  0.009
Na  0.884  0.750  0.018
Na  0.918  0.250  0.553
Na  0.928  0.934  0.586
Na  0.928  0.566  0.586
Na  0.017  0.091  0.791
Na  0.017  0.409  0.791
Fe  0.014  0.250  0.206
Fe  0.204  0.250  0.619
Fe  0.296  0.750  0.119
Fe  0.486  0.750  0.706
Fe  0.514  0.250  0.294
Fe  0.704  0.250  0.881
Fe  0.796  0.750  0.381
Fe  0.986  0.750  0.794
H  0.231  0.626  0.310
H  0.231  0.874  0.310
H  0.269  0.126  0.810
H  0.269  0.374  0.810
H  0.731  0.626  0.190
H  0.731  0.874  0.190
H  0.769  0.126  0.690
H  0.769  0.374  0.690
O  0.060  0.750  0.647
O  0.059  0.404  0.126
O  0.059  0.096  0.126
O  0.099  0.405  0.607
O  0.099  0.095  0.607
O  0.105  0.750  0.116
O  0.247  0.082  0.880
O  0.247  0.418  0.880
O  0.253  0.582  0.380
O  0.253  0.918  0.380
O  0.395  0.250  0.616
O  0.401  0.595  0.107
O  0.401  0.905  0.107
O  0.441  0.596  0.626
O  0.441  0.904  0.626
O  0.440  0.250  0.147
O  0.560  0.750  0.853
O  0.559  0.096  0.374
O  0.559  0.404  0.374
O  0.599  0.095  0.893
O  0.599  0.405  0.893
O  0.605  0.750  0.384
O  0.747  0.082  0.620
O  0.747  0.418  0.620
O  0.753  0.582  0.120
O  0.753  0.918  0.120
O  0.895  0.250  0.884
O  0.901  0.905  0.393
O  0.901  0.595  0.393
O  0.941  0.904  0.874
O  0.941  0.596  0.874
O  0.940  0.250  0.353

***

## MgScTlMo2O8 (PBE+U)

Data for a geometry-optimized MgScTlMo2O8 structure.

Summary:
ΔE to the lowest computed polymorph	0.000	eV per atom
crystal system	trigonal
ΔE_f	-2659	kJ/mol of formula units
calculated total energy	-87.234	eV per cell

Cell: 5.895 5.895 8.891 Å, 90.00 90.00 120.00°
Fractional coordinates of all 13 atoms:
Mg  0.000  0.000  0.279
Sc  0.000  0.000  0.991
Tl  0.000  0.000  0.604
Mo  0.667  0.333  0.224
Mo  0.333  0.667  0.762
O  0.848  0.152  0.141
O  0.848  0.696  0.141
O  0.304  0.152  0.141
O  0.676  0.838  0.821
O  0.333  0.667  0.567
O  0.667  0.333  0.429
O  0.162  0.838  0.821
O  0.162  0.324  0.821

***

## Li2VSi2O7 (PBE+U)

Data for a geometry-optimized Li2VSi2O7 structure.

Summary:
ΔE to the lowest computed polymorph	0.033	eV per atom
crystal system	triclinic
ΔE_f	-3238	kJ/mol of formula units
calculated total energy	-512.648	eV per cell

Cell: 8.571 8.584 12.977 Å, 91.03 89.88 119.88°
Fractional coordinates of all 72 atoms:
Li  0.971  0.311  0.897
Li  0.697  0.666  0.899
Li  0.332  0.027  0.899
Li  0.335  0.032  0.564
Li  0.659  0.975  0.394
Li  0.311  0.329  0.394
Li  0.333  0.658  0.230
Li  0.337  0.664  0.723
Li  0.988  0.004  0.455
Li  0.007  0.020  0.967
Li  0.024  0.691  0.394
Li  0.027  0.692  0.069
V  0.997  0.999  0.727
V  0.676  0.341  0.514
V  0.668  0.330  0.955
V  0.995  0.001  0.225
V  0.342  0.669  0.014
V  0.337  0.666  0.457
Si  0.970  0.325  0.122
Si  0.962  0.323  0.346
Si  0.676  0.640  0.347
Si  0.669  0.637  0.125
Si  0.361  0.034  0.121
Si  0.352  0.027  0.342
Si  0.647  0.976  0.620
Si  0.642  0.965  0.847
Si  0.333  0.359  0.620
Si  0.328  0.361  0.849
Si  0.028  0.674  0.846
Si  0.030  0.670  0.621
O  0.863  0.059  0.841
O  0.864  0.056  0.631
O  0.872  0.310  0.232
O  0.820  0.263  0.029
O  0.791  0.241  0.425
O  0.881  0.466  0.598
O  0.877  0.467  0.867
O  0.939  0.804  0.838
O  0.952  0.809  0.638
O  0.581  0.113  0.869
O  0.585  0.120  0.596
O  0.764  0.561  0.428
O  0.758  0.571  0.034
O  0.685  0.554  0.234
O  0.443  0.125  0.234
O  0.797  0.861  0.343
O  0.803  0.857  0.140
O  0.452  0.184  0.033
O  0.423  0.181  0.433
O  0.537  0.406  0.594
O  0.533  0.415  0.875
O  0.462  0.580  0.363
O  0.464  0.595  0.107
O  0.557  0.792  0.924
O  0.557  0.816  0.530
O  0.199  0.142  0.626
O  0.195  0.142  0.840
O  0.558  0.875  0.731
O  0.328  0.446  0.734
O  0.269  0.459  0.538
O  0.241  0.455  0.924
O  0.400  0.866  0.100
O  0.403  0.867  0.360
O  0.053  0.188  0.125
O  0.057  0.196  0.342
O  0.121  0.533  0.367
O  0.125  0.536  0.106
O  0.190  0.761  0.933
O  0.193  0.759  0.536
O  0.128  0.679  0.734
O  0.140  0.944  0.124
O  0.131  0.934  0.332

***

## Fe4O5F3 (PBE+U)

Data for a geometry-optimized Fe4O5F3 structure.

Summary:
ΔE to the lowest computed polymorph	0.697	eV per atom
crystal system	monoclinic
ΔE_f	-1359	kJ/mol of formula units
calculated total energy	-129.214	eV per cell

Cell: 5.616 5.616 9.401 Å, 88.50 88.50 66.10°
Fractional coordinates of all 24 atoms:
Fe  0.967  0.967  0.745
Fe  0.033  0.033  0.255
Fe  0.000  0.500  0.500
Fe  0.500  0.000  0.500
Fe  0.000  0.500  0.000
Fe  0.500  0.000  0.000
Fe  0.514  0.514  0.269
Fe  0.486  0.486  0.731
O  0.162  0.162  0.093
O  0.342  0.342  0.899
O  0.347  0.347  0.406
O  0.142  0.643  0.647
O  0.643  0.142  0.647
O  0.357  0.858  0.353
O  0.858  0.357  0.353
O  0.653  0.653  0.594
O  0.658  0.658  0.101
O  0.838  0.838  0.907
F  0.143  0.143  0.606
F  0.665  0.162  0.157
F  0.162  0.665  0.157
F  0.335  0.838  0.843
F  0.838  0.335  0.843
F  0.857  0.857  0.394

***

## MgMn3NiO8 (PBE+U)

Data for a geometry-optimized MgMn3NiO8 structure.

Summary:
ΔE to the lowest computed polymorph	0.000	eV per atom
crystal system	trigonal
ΔE_f	-2394	kJ/mol of formula units
calculated total energy	-86.220	eV per cell

Cell: 5.899 5.899 5.935 Å, 60.20 60.20 60.00°
Fractional coordinates of all 13 atoms:
Mg  0.000  0.000  0.500
Mn  0.500  0.000  0.500
Mn  0.500  0.500  0.500
Mn  0.000  0.500  0.500
Ni  0.500  0.500  0.000
O  0.249  0.249  0.290
O  0.712  0.249  0.290
O  0.249  0.712  0.290
O  0.266  0.266  0.702
O  0.734  0.734  0.298
O  0.751  0.288  0.710
O  0.288  0.751  0.710
O  0.751  0.751  0.710